HfTaRe2 PBE relaxed; space group = Fm-3m
1.0
-0.794 1.002 4.400
-3.773 2.319 1.177
-3.379 -2.117 2.258
Re Hf Ta
2 1 1
direct
0.250 0.250 0.250
0.750 0.750 0.750
0.500 0.500 0.500
0.000 0.000 0.000



HfRh PBE relaxed; space group = Pm-3m
1.0
-1.719 -0.785 2.678
2.728 0.190 1.806
-0.588 3.176 0.554
Rh Hf
1 1
direct
0.500 0.500 0.500
0.000 0.000 0.000



Hf2Rh PBE relaxed; space group = Fd-3m
1.0
0.000 6.175 6.175
6.175 0.000 6.175
6.175 6.175 0.000
Hf Rh
16 8
direct
0.064 0.436 0.064
0.436 0.064 0.064
0.186 0.814 0.814
0.436 0.064 0.436
0.186 0.814 0.186
0.125 0.625 0.625
0.814 0.186 0.186
0.186 0.186 0.814
0.625 0.625 0.125
0.436 0.436 0.064
0.064 0.436 0.436
0.814 0.814 0.186
0.625 0.625 0.625
0.064 0.064 0.436
0.814 0.186 0.814
0.625 0.125 0.625
0.460 0.847 0.847
0.403 0.403 0.403
0.847 0.847 0.460
0.403 0.790 0.403
0.847 0.847 0.847
0.403 0.403 0.790
0.847 0.460 0.847
0.790 0.403 0.403



ΔH_f (0 K) (computed, eV/f.u.): -1.60, -1.72, -1.84
Volume (computed, Å³/cell): 68.0, 35.2, 471.0
Energy (computed, eV/atom): -12.076, -9.519, -9.707